DFT (PBE-GGA) results for a relaxed structure of ZnH4N2.

Structure (CIF):
```
data_ZnH4N2
_symmetry_space_group_name_H-M 'P 1'
_symmetry_Int_Tables_number 1
_symmetry_space_group_name_Hall 'P 1'
_cell_length_a 12.411
_cell_length_b 12.411
_cell_length_c 12.411
_cell_angle_alpha 131.84
_cell_angle_beta 131.84
_cell_angle_gamma 70.49
loop_
_atom_site_label
_atom_site_type_symbol
_atom_site_fract_x
_atom_site_fract_y
_atom_site_fract_z
Zn1 Zn 0.683 0.422 0.484
Zn2 Zn 0.301 0.562 0.484
Zn3 Zn 0.078 0.817 0.516
Zn4 Zn 0.567 0.551 0.239
Zn5 Zn 0.312 0.328 0.761
Zn6 Zn 0.172 0.188 0.239
Zn7 Zn 0.949 0.933 0.761
Zn8 Zn 0.938 0.199 0.516
Zn9 Zn 0.067 0.828 0.016
Zn10 Zn 0.449 0.688 0.016
Zn11 Zn 0.672 0.433 0.984
Zn12 Zn 0.183 0.699 0.261
Zn13 Zn 0.438 0.922 0.739
Zn14 Zn 0.578 0.062 0.261
Zn15 Zn 0.801 0.317 0.739
Zn16 Zn 0.812 0.051 0.984
H1 H 0.104 0.742 0.789
H2 H 0.185 0.547 0.789
H3 H 0.758 0.396 0.211
H4 H 0.146 0.435 0.138
H5 H 0.297 0.008 0.862
H6 H 0.492 0.203 0.138
H7 H 0.065 0.354 0.862
H8 H 0.953 0.315 0.211
H9 H 0.646 0.508 0.711
H10 H 0.565 0.703 0.711
H11 H 0.992 0.854 0.289
H12 H 0.604 0.815 0.362
H13 H 0.453 0.242 0.638
H14 H 0.258 0.047 0.362
H15 H 0.685 0.896 0.638
H16 H 0.797 0.935 0.289
H17 H 0.825 0.565 0.336
H18 H 0.011 0.272 0.336
H19 H 0.935 0.675 0.664
H20 H 0.425 0.261 0.239
H21 H 0.022 0.185 0.761
H22 H 0.315 0.478 0.239
H23 H 0.239 0.075 0.761
H24 H 0.228 0.489 0.664
H25 H 0.925 0.685 0.164
H26 H 0.739 0.978 0.164
H27 H 0.815 0.575 0.836
H28 H 0.164 0.657 0.612
H29 H 0.325 0.989 0.261
H30 H 0.435 0.772 0.261
H31 H 0.511 0.175 0.739
H32 H 0.522 0.761 0.836
H33 H 0.711 0.677 0.585
H34 H 0.374 0.408 0.585
H35 H 0.823 0.789 0.415
H36 H 0.539 0.624 0.467
H37 H 0.158 0.073 0.533
H38 H 0.427 0.342 0.467
H39 H 0.876 0.961 0.533
H40 H 0.092 0.126 0.415
H41 H 0.039 0.573 0.915
H42 H 0.376 0.842 0.915
H43 H 0.927 0.461 0.085
H44 H 0.211 0.626 0.033
H45 H 0.592 0.177 0.967
H46 H 0.323 0.908 0.033
H47 H 0.874 0.289 0.967
H48 H 0.658 0.124 0.085
H49 H 0.705 0.699 0.112
H50 H 0.449 0.836 0.493
H51 H 0.343 0.955 0.507
H52 H 0.545 0.157 0.493
H53 H 0.664 0.051 0.507
H54 H 0.907 0.914 0.112
H55 H 0.801 0.795 0.888
H56 H 0.586 0.593 0.888
H57 H 0.045 0.551 0.388
H58 H 0.301 0.414 0.007
H59 H 0.407 0.295 0.993
H60 H 0.205 0.093 0.007
H61 H 0.086 0.199 0.993
H62 H 0.843 0.336 0.388
H63 H 0.949 0.455 0.612
H64 H 0.728 0.065 0.739
N1 N 0.014 0.770 0.784
N2 N 0.270 0.514 0.784
N3 N 0.730 0.486 0.216
N4 N 0.236 0.520 0.256
N5 N 0.264 0.980 0.744
N6 N 0.520 0.236 0.256
N7 N 0.980 0.264 0.744
N8 N 0.986 0.230 0.216
N9 N 0.736 0.480 0.716
N10 N 0.480 0.736 0.716
N11 N 0.020 0.764 0.284
N12 N 0.514 0.730 0.244
N13 N 0.486 0.270 0.756
N14 N 0.230 0.014 0.244
N15 N 0.770 0.986 0.756
N16 N 0.764 0.020 0.284
N17 N 0.625 0.588 0.463
N18 N 0.338 0.375 0.463
N19 N 0.912 0.875 0.537
N20 N 0.125 0.162 0.537
N21 N 0.125 0.662 0.037
N22 N 0.412 0.875 0.037
N23 N 0.838 0.375 0.963
N24 N 0.625 0.088 0.963
N25 N 0.135 0.635 0.500
N26 N 0.385 0.385 0.000
N27 N 0.115 0.115 0.000
N28 N 0.865 0.365 0.500
N29 N 0.615 0.615 0.000
N30 N 0.365 0.865 0.500
N31 N 0.635 0.135 0.500
N32 N 0.885 0.885 0.000
```

Size of the total moment ... 0.00 μB/f.u.
Formation energy from the elements ... -0.417 eV/atom